Entry from Materials Project: a relaxed TmLu3 crystal (GGA-PBE).

Cell: 7.049 7.049 5.506 Å, 90.00 90.00 120.00°
Fractional coordinates of all 8 atoms:
Tm: 0.333 0.667 0.250
Tm: 0.667 0.333 0.750
Lu: 0.166 0.333 0.750
Lu: 0.166 0.834 0.750
Lu: 0.333 0.166 0.250
Lu: 0.667 0.834 0.750
Lu: 0.834 0.166 0.250
Lu: 0.834 0.667 0.250

The total energy comes out at -4.508 eV per atom.